SrFe2O4 | PBE with a Hubbard U | relaxed

Lattice parameters (Å, degrees): 11.031 8.247 12.243 49.74 90.00 90.00
Fractional coordinates of all 56 atoms:
Fe 0.639 0.845 0.432
Fe 0.612 0.663 0.094
Fe 0.361 0.155 0.568
Fe 0.888 0.663 0.594
Fe 0.364 0.897 0.908
Fe 0.613 0.242 0.431
Fe 0.139 0.155 0.068
Fe 0.388 0.337 0.906
Fe 0.113 0.758 0.069
Fe 0.861 0.845 0.932
Fe 0.136 0.897 0.408
Fe 0.864 0.103 0.592
Fe 0.387 0.758 0.569
Fe 0.636 0.103 0.092
Fe 0.887 0.242 0.931
Fe 0.112 0.337 0.406
O 0.976 0.800 0.420
O 0.111 0.176 0.344
O 0.776 0.034 0.753
O 0.520 0.253 0.558
O 0.476 0.200 0.080
O 0.276 0.966 0.747
O 0.480 0.747 0.442
O 0.889 0.824 0.656
O 0.636 0.949 0.531
O 0.470 0.583 0.748
O 0.024 0.200 0.580
O 0.530 0.417 0.252
O 0.030 0.583 0.248
O 0.020 0.747 0.942
O 0.241 0.403 0.954
O 0.724 0.034 0.253
O 0.970 0.417 0.752
O 0.717 0.320 0.912
O 0.741 0.597 0.546
O 0.283 0.680 0.088
O 0.759 0.597 0.046
O 0.259 0.403 0.454
O 0.217 0.680 0.588
O 0.224 0.966 0.247
O 0.389 0.176 0.844
O 0.611 0.824 0.156
O 0.980 0.253 0.058
O 0.136 0.051 0.969
O 0.524 0.800 0.920
O 0.864 0.949 0.031
O 0.364 0.051 0.469
O 0.783 0.320 0.412
Sr 0.890 0.279 0.227
Sr 0.847 0.703 0.298
Sr 0.347 0.297 0.202
Sr 0.153 0.297 0.702
Sr 0.390 0.721 0.273
Sr 0.110 0.721 0.773
Sr 0.653 0.703 0.798
Sr 0.610 0.279 0.727

Output
DFT total energy ... -369.61 eV/cell
Energy with MP2020 corrections ... -0.28066 hartree per atom
Space group ... P2_1/c, No. 14
Energy relative to the elements ... -2148 meV per atom